Record 1
Here is crystalline Hg3As at its relaxed geometry from the Materials Project database. Energies are from GGA-PBE.

a = 6.047 Å, b = 6.047 Å, c = 6.047 Å
α = 139.22°, β = 139.22°, γ = 59.05°
Fractional positions:
Hg 0.500 0.500 0.000
Hg 0.250 0.750 0.500
Hg 0.750 0.250 0.500
As 0.000 0.000 0.000

Its symmetry is I4/mmm, No. 139.

***

Record 2
Here is crystalline Ba4Cu2Si21 at its relaxed geometry from the Materials Project database. Energies are from GGA-PBE.

a = 10.407 Å, b = 10.407 Å, c = 10.372 Å
α = 90.00°, β = 90.00°, γ = 90.04°
Fractional positions:
Si 0.815 0.317 0.935
Si 0.501 0.310 0.129
Si 0.184 0.316 0.566
Si 0.688 0.501 0.869
Si 0.378 0.000 0.937
Si 0.616 0.000 0.944
Si 0.310 0.501 0.629
Si 0.884 0.807 0.750
Si 0.747 0.001 0.750
Si 0.000 0.378 0.063
Si 0.814 0.123 0.250
Si 0.000 0.378 0.437
Si 0.188 0.124 0.250
Si 0.317 0.815 0.435
Si 0.001 0.747 0.250
Si 0.124 0.188 0.750
Si 0.807 0.884 0.250
Si 0.688 0.501 0.631
Si 0.814 0.684 0.567
Si 0.316 0.184 0.434
Si 0.684 0.814 0.433
Si 0.501 0.310 0.371
Si 0.686 0.185 0.433
Si 0.316 0.184 0.066
Si 0.185 0.686 0.933
Si 0.815 0.317 0.565
Si 0.185 0.686 0.567
Si 0.000 0.616 0.056
Si 0.317 0.815 0.065
Si 0.686 0.185 0.067
Si 0.194 0.882 0.250
Si 0.310 0.501 0.871
Si 0.378 0.000 0.563
Si 0.000 0.616 0.444
Si 0.684 0.814 0.067
Si 0.882 0.194 0.750
Si 0.616 0.000 0.556
Si 0.814 0.684 0.933
Si 0.501 0.688 0.369
Si 0.501 0.688 0.131
Si 0.123 0.814 0.750
Si 0.184 0.316 0.934
Cu 0.500 0.500 0.500
Cu 0.250 0.001 0.750
Cu 0.500 0.500 0.000
Cu 0.001 0.250 0.250
Ba 0.742 0.491 0.250
Ba 0.491 0.742 0.750
Ba 0.010 0.010 0.000
Ba 0.002 0.498 0.750
Ba 0.490 0.259 0.750
Ba 0.010 0.010 0.500
Ba 0.259 0.490 0.250
Ba 0.498 0.002 0.250

Its symmetry is Ama2, No. 40.

***

Record 3
Here is crystalline KLiZn3O4 at its relaxed geometry from the Materials Project database. Energies are from GGA-PBE.

a = 6.097 Å, b = 6.097 Å, c = 8.277 Å
α = 47.72°, β = 47.72°, γ = 32.03°
Fractional positions:
O 0.235 0.235 0.368
O 0.773 0.773 0.630
O 0.404 0.404 0.823
O 0.602 0.602 0.169
Li 0.180 0.180 0.187
Zn 0.377 0.377 0.439
Zn 0.803 0.803 0.839
Zn 0.630 0.630 0.541
K 0.995 0.995 0.004

Its symmetry is Cm, No. 8. The calculation puts the piezoelectric modulus e_max at 0.91 C/m2.

***

DFT formation energy values, unit eV/atom, following the record order: 0.27, -0.14, -1.82.